Compound: LiCuPO4
Source: Materials Project
Functional: PBE
Structure: optimized geometry

The structure in extended XYZ format:
```
28
Lattice="5.774 0.000 0.000 1.261 5.985 0.000 1.704 1.861 8.883" Properties=species:S:1:pos:R:3 pbc="T T T"
Li 2.086 2.914 3.475
Li 3.819 4.539 6.602
Li 4.920 3.306 2.281
Li 6.653 4.931 5.408
Cu 2.421 1.682 6.411
Cu 1.954 1.099 0.791
Cu 6.785 6.746 8.092
Cu 6.318 6.163 2.472
P 1.980 4.293 0.356
P 3.577 5.766 3.675
P 5.161 2.080 5.208
P 6.759 3.553 8.527
O 2.329 3.011 7.892
O 2.325 4.872 3.489
O 3.404 6.062 7.722
O 3.637 6.164 5.174
O 2.352 2.943 0.994
O 2.257 1.069 2.799
O 3.209 5.197 0.635
O 3.851 2.875 5.560
O 4.888 4.970 3.322
O 5.530 2.649 8.248
O 6.482 6.776 6.084
O 6.387 4.902 7.889
O 5.101 1.681 3.709
O 5.334 1.784 1.161
O 6.414 2.973 5.394
O 6.410 4.834 0.991
```

Computed properties:
Volume: 306.9 Å³/cell
Polymorph energy (0 for the lowest one): 37 meV/atom
ΔE_f: -2160 meV per atom
Spin magnetization: 4.0 Bohr magnetons per cell
Final energy: -6.226 eV per atom
Crystal system: triclinic